(1)
# TbFeCu (PBE, optimized geometry)
# * theoretical density: 9.39 g/cm³
# * DFT formation energy: -0.040 eV per atom
data_TbFeCu
_cell_length_a 5.082
_cell_length_b 5.123
_cell_length_c 7.563
_cell_angle_alpha 90.00
_cell_angle_beta 90.00
_cell_angle_gamma 90.00
_space_group_name_H-M_alt 'I m m a'
_space_group_IT_number 74
_space_group_name_Hall '-I 2b 2'
loop_
_atom_site_label
_atom_site_fract_x
_atom_site_fract_y
_atom_site_fract_z
_atom_site_occupancy
Tb1 0.000 0.250 0.122 1
Fe1 0.250 0.250 0.750 1
Cu1 0.000 0.000 0.500 1



(2)
# Al2Cd3Ge3O12 (PBE, optimized geometry)
# * theoretical density: 5.79 g/cm³
# * DFT formation energy: -2.277 eV per atom
data_Al2Cd3Ge3O12
_cell_length_a 12.252
_cell_length_b 12.252
_cell_length_c 12.252
_cell_angle_alpha 90.00
_cell_angle_beta 90.00
_cell_angle_gamma 90.00
_space_group_name_H-M_alt 'I a -3 d'
_space_group_IT_number 230
_space_group_name_Hall '-I 4bd 2c 3'
loop_
_atom_site_label
_atom_site_fract_x
_atom_site_fract_y
_atom_site_fract_z
_atom_site_occupancy
Al1 0.000 0.000 0.000 1
Cd1 0.000 0.250 0.125 1
Ge1 0.000 0.250 0.375 1
O1 0.032 0.046 0.648 1